The following is a r2SCAN calculation of Zr3N2 after structural relaxation, from the Materials Project database.

Total magnetization ... 0.0 μB/cell
Volume ... 14.48 Å³/atom
Calculated total energy ... -189.167 eV/cell
Formation energy from the elements ... -1.615 eV per atom

Cell lengths 6.169, 6.169, 6.169 Å; angles 54.51, 54.51, 54.51 degrees
Atoms (fractional coordinates):
Zr 0.075 0.750 0.425
Zr 0.250 0.575 0.925
Zr 0.425 0.075 0.750
Zr 0.575 0.925 0.250
Zr 0.750 0.425 0.075
Zr 0.925 0.250 0.575
N 0.161 0.161 0.161
N 0.339 0.339 0.339
N 0.661 0.661 0.661
N 0.839 0.839 0.839

=====

The following is a r2SCAN calculation of Na after structural relaxation, from the Materials Project database.

Excess energy over the best structure of this formula in the dataset ... 11 meV/atom
Total magnetization ... 0.0 μB/cell
Volume ... 37.17 Å³/atom
Calculated total energy ... -14.212 eV/cell
Formation energy from the elements ... 0.011 eV per atom

Cell lengths 3.700, 3.700, 12.537 Å; angles 90.00, 90.00, 120.00 degrees
Atoms (fractional coordinates):
Na 0.000 0.000 0.000
Na 0.000 0.000 0.500
Na 0.333 0.667 0.250
Na 0.667 0.333 0.750